# 1
V2O3F: optimized geometry, r2SCAN.

a b c (Å): 14.796 6.303 6.679
angles (deg): 90.00 90.00 90.00
Space group Amm2 (No. 38)
Asymmetric unit:
V 0.000 0.000 0.000 (multiplicity 2)
V 0.099 0.000 0.540 (multiplicity 4)
V 0.198 0.000 0.002 (multiplicity 4)
V 0.298 0.000 0.553 (multiplicity 4)
V 0.399 0.000 0.017 (multiplicity 4)
V 0.500 0.000 0.475 (multiplicity 2)
O 0.000 0.203 0.526 (multiplicity 4)
O 0.099 0.000 0.823 (multiplicity 4)
O 0.199 0.201 0.523 (multiplicity 8)
O 0.299 0.000 0.823 (multiplicity 4)
O 0.400 0.197 0.518 (multiplicity 8)
O 0.500 0.000 0.212 (multiplicity 2)
F 0.099 0.000 0.222 (multiplicity 4)
F 0.300 0.000 0.220 (multiplicity 4)
F 0.500 0.000 0.818 (multiplicity 2)

Formation enthalpy at 0 K ... -2.7938 eV/atom
Total magnetic moment ... 30.000 μB per cell
E above lowest polymorph ... 1 meV per atom

# 2
V2OF5: optimized geometry, r2SCAN.

a b c (Å): 5.0898 5.0898 13.2495
angles (deg): 90.00 90.00 120.00
Space group P3_1 (No. 144)
Asymmetric unit:
V 0.0066 0.6939 0.0000 (multiplicity 3)
V 0.3269 0.3176 0.8419 (multiplicity 3)
O 0.0166 0.0978 0.2550 (multiplicity 3)
F 0.0067 0.2817 0.7557 (multiplicity 3)
F 0.0663 0.3891 0.4285 (multiplicity 3)
F 0.2797 0.5948 0.9274 (multiplicity 3)
F 0.4046 0.0707 0.7517 (multiplicity 3)
F 0.6165 0.2850 0.2560 (multiplicity 3)

Formation enthalpy at 0 K ... -3.1130 eV/atom
Total magnetic moment ... 9.000 μB per cell
E above lowest polymorph ... 2 meV per atom

# 3
VOF2: optimized geometry, r2SCAN.

a b c (Å): 5.103 5.104 13.100
angles (deg): 90.03 90.47 119.94
Space group P1 (No. 1)
Asymmetric unit:
V 0.000 0.000 0.000 (multiplicity 1)
V 0.018 0.004 0.495 (multiplicity 1)
V 0.325 0.707 0.329 (multiplicity 1)
V 0.368 0.670 0.837 (multiplicity 1)
V 0.625 0.325 0.164 (multiplicity 1)
V 0.739 0.364 0.666 (multiplicity 1)
O 0.000 0.584 0.750 (multiplicity 1)
O 0.083 0.777 0.419 (multiplicity 1)
O 0.342 0.256 0.085 (multiplicity 1)
O 0.408 0.001 0.251 (multiplicity 1)
O 0.659 0.751 0.916 (multiplicity 1)
O 0.929 0.277 0.585 (multiplicity 1)
F 0.066 0.332 0.915 (multiplicity 1)
F 0.261 0.934 0.915 (multiplicity 1)
F 0.264 0.363 0.417 (multiplicity 1)
F 0.345 0.102 0.587 (multiplicity 1)
F 0.414 0.404 0.748 (multiplicity 1)
F 0.597 0.003 0.743 (multiplicity 1)
F 0.603 0.606 0.254 (multiplicity 1)
F 0.663 0.946 0.420 (multiplicity 1)
F 0.744 0.074 0.086 (multiplicity 1)
F 0.744 0.681 0.588 (multiplicity 1)
F 0.935 0.671 0.086 (multiplicity 1)
F 0.994 0.408 0.250 (multiplicity 1)

Formation enthalpy at 0 K ... -2.9462 eV/atom
Total magnetic moment ... 6.000 μB per cell